(1)
# BaLu2NiO5 | the Materials Project | PBE+U | relaxed
data_BaLu2NiO5
_chemical_formula_sum 'Ba4 Lu8 Ni4 O20'
_symmetry_space_group_name_H-M 'P 1'
_symmetry_Int_Tables_number 1
_cell_length_a 12.171
_cell_length_b 5.653
_cell_length_c 6.971
_cell_angle_alpha 90.00
_cell_angle_beta 90.00
_cell_angle_gamma 90.00
loop_
_symmetry_equiv_pos_as_xyz
'x,y,z'
loop_
_atom_site_label
_atom_site_type_symbol
_atom_site_fract_x
_atom_site_fract_y
_atom_site_fract_z
_atom_site_occupancy
Ba1 Ba 0.097 0.250 0.078 1
Ba2 Ba 0.403 0.750 0.578 1
Ba3 Ba 0.597 0.250 0.422 1
Ba4 Ba 0.903 0.750 0.922 1
Lu1 Lu 0.074 0.750 0.400 1
Lu2 Lu 0.208 0.250 0.623 1
Lu3 Lu 0.292 0.750 0.123 1
Lu4 Lu 0.426 0.250 0.900 1
Lu5 Lu 0.574 0.750 0.100 1
Lu6 Lu 0.708 0.250 0.877 1
Lu7 Lu 0.792 0.750 0.377 1
Lu8 Lu 0.926 0.250 0.600 1
Ni1 Ni 0.156 0.750 0.805 1
Ni2 Ni 0.344 0.250 0.305 1
Ni3 Ni 0.656 0.750 0.695 1
Ni4 Ni 0.844 0.250 0.195 1
O1 O 0.065 0.501 0.666 1
O2 O 0.065 0.999 0.666 1
O3 O 0.105 0.750 0.079 1
O4 O 0.225 0.501 0.366 1
O5 O 0.225 0.999 0.366 1
O6 O 0.275 0.001 0.866 1
O7 O 0.275 0.499 0.866 1
O8 O 0.395 0.250 0.579 1
O9 O 0.435 0.001 0.166 1
O10 O 0.435 0.499 0.166 1
O11 O 0.565 0.501 0.834 1
O12 O 0.565 0.999 0.834 1
O13 O 0.605 0.750 0.421 1
O14 O 0.725 0.501 0.134 1
O15 O 0.725 0.999 0.134 1
O16 O 0.775 0.001 0.634 1
O17 O 0.775 0.499 0.634 1
O18 O 0.895 0.250 0.921 1
O19 O 0.935 0.001 0.334 1
O20 O 0.935 0.499 0.334 1
# Total energy, eV/atom: -6.98
# Formation energy, eV/atom: -3.032
# Crystal system: orthorhombic
# SG: Pnma (62)
# ρ, Mg/m³: 8.7



(2)
# Li2Mn3SbO8 | the Materials Project | PBE+U | relaxed
data_Li2Mn3SbO8
_chemical_formula_sum 'Li8 Mn12 Sb4 O32'
_symmetry_space_group_name_H-M 'P 1'
_symmetry_Int_Tables_number 1
_cell_length_a 8.646
_cell_length_b 8.646
_cell_length_c 8.646
_cell_angle_alpha 90.00
_cell_angle_beta 90.00
_cell_angle_gamma 90.00
loop_
_symmetry_equiv_pos_as_xyz
'x,y,z'
loop_
_atom_site_label
_atom_site_type_symbol
_atom_site_fract_x
_atom_site_fract_y
_atom_site_fract_z
_atom_site_occupancy
Li1 Li 0.007 0.007 0.007 1
Li2 Li 0.243 0.243 0.243 1
Li3 Li 0.257 0.757 0.743 1
Li4 Li 0.493 0.993 0.507 1
Li5 Li 0.507 0.493 0.993 1
Li6 Li 0.743 0.257 0.757 1
Li7 Li 0.757 0.743 0.257 1
Li8 Li 0.993 0.507 0.493 1
Mn1 Mn 0.124 0.126 0.625 1
Mn2 Mn 0.125 0.376 0.874 1
Mn3 Mn 0.126 0.625 0.124 1
Mn4 Mn 0.374 0.375 0.624 1
Mn5 Mn 0.375 0.624 0.374 1
Mn6 Mn 0.376 0.874 0.125 1
Mn7 Mn 0.624 0.374 0.375 1
Mn8 Mn 0.625 0.124 0.126 1
Mn9 Mn 0.626 0.875 0.876 1
Mn10 Mn 0.874 0.125 0.376 1
Mn11 Mn 0.875 0.876 0.626 1
Mn12 Mn 0.876 0.626 0.875 1
Sb1 Sb 0.125 0.875 0.375 1
Sb2 Sb 0.375 0.125 0.875 1
Sb3 Sb 0.625 0.625 0.625 1
Sb4 Sb 0.875 0.375 0.125 1
O1 O 0.106 0.109 0.375 1
O2 O 0.108 0.608 0.892 1
O3 O 0.109 0.375 0.106 1
O4 O 0.125 0.641 0.356 1
O5 O 0.125 0.894 0.609 1
O6 O 0.141 0.144 0.875 1
O7 O 0.142 0.358 0.642 1
O8 O 0.144 0.875 0.141 1
O9 O 0.356 0.125 0.641 1
O10 O 0.358 0.642 0.142 1
O11 O 0.359 0.856 0.375 1
O12 O 0.375 0.106 0.109 1
O13 O 0.375 0.359 0.856 1
O14 O 0.391 0.625 0.606 1
O15 O 0.392 0.392 0.392 1
O16 O 0.394 0.891 0.875 1
O17 O 0.606 0.391 0.625 1
O18 O 0.608 0.892 0.108 1
O19 O 0.609 0.125 0.894 1
O20 O 0.625 0.606 0.391 1
O21 O 0.625 0.859 0.644 1
O22 O 0.641 0.356 0.125 1
O23 O 0.642 0.142 0.358 1
O24 O 0.644 0.625 0.859 1
O25 O 0.856 0.375 0.359 1
O26 O 0.858 0.858 0.858 1
O27 O 0.859 0.644 0.625 1
O28 O 0.875 0.141 0.144 1
O29 O 0.875 0.394 0.891 1
O30 O 0.891 0.875 0.394 1
O31 O 0.892 0.108 0.608 1
O32 O 0.894 0.609 0.125 1
# Distance to the lowest polymorph of the same formula, meV/atom: 34
# Total energy, eV/atom: -6.69
# Formation energy, eV/atom: -2.078
# Crystal system: cubic
# SG: P4_332 (212)
# ρ, Mg/m³: 4.4



(3)
# SrYCoO4 | the Materials Project | PBE+U | relaxed
data_SrYCoO4
_chemical_formula_sum 'Sr2 Y2 Co2 O8'
_symmetry_space_group_name_H-M 'P 1'
_symmetry_Int_Tables_number 1
_cell_length_a 3.801
_cell_length_b 6.674
_cell_length_c 7.583
_cell_angle_alpha 106.49
_cell_angle_beta 90.18
_cell_angle_gamma 106.38
loop_
_symmetry_equiv_pos_as_xyz
'x,y,z'
loop_
_atom_site_label
_atom_site_type_symbol
_atom_site_fract_x
_atom_site_fract_y
_atom_site_fract_z
_atom_site_occupancy
Sr1 Sr 0.000 0.000 0.000 1
Sr2 Sr 0.001 0.997 0.497 1
Y1 Y 0.287 0.562 0.642 1
Y2 Y 0.287 0.565 0.135 1
Co1 Co 0.645 0.276 0.817 1
Co2 Co 0.650 0.291 0.321 1
O1 O 0.158 0.307 0.826 1
O2 O 0.161 0.315 0.327 1
O3 O 0.466 0.922 0.727 1
O4 O 0.473 0.937 0.235 1
O5 O 0.652 0.307 0.084 1
O6 O 0.658 0.314 0.569 1
O7 O 0.808 0.609 0.396 1
O8 O 0.810 0.615 0.909 1
# Distance to the lowest polymorph of the same formula, meV/atom: 31
# Total energy, eV/atom: -7.08
# Formation energy, eV/atom: -2.702
# Crystal system: triclinic
# SG: P1 (1)
# ρ, Mg/m³: 5.6



(4)
# BaCaNiF7 | the Materials Project | PBE+U | relaxed
data_BaCaNiF7
_chemical_formula_sum 'Ba4 Ca4 Ni4 F28'
_symmetry_space_group_name_H-M 'P 1'
_symmetry_Int_Tables_number 1
_cell_length_a 5.700
_cell_length_b 10.595
_cell_length_c 9.924
_cell_angle_alpha 90.00
_cell_angle_beta 91.77
_cell_angle_gamma 90.00
loop_
_symmetry_equiv_pos_as_xyz
'x,y,z'
loop_
_atom_site_label
_atom_site_type_symbol
_atom_site_fract_x
_atom_site_fract_y
_atom_site_fract_z
_atom_site_occupancy
Ba1 Ba 0.238 0.167 0.493 1
Ba2 Ba 0.238 0.333 0.993 1
Ba3 Ba 0.762 0.667 0.007 1
Ba4 Ba 0.762 0.833 0.507 1
Ca1 Ca 0.208 0.592 0.322 1
Ca2 Ca 0.208 0.908 0.822 1
Ca3 Ca 0.792 0.092 0.178 1
Ca4 Ca 0.792 0.408 0.678 1
Ni1 Ni 0.309 0.622 0.692 1
Ni2 Ni 0.309 0.878 0.192 1
Ni3 Ni 0.691 0.122 0.808 1
Ni4 Ni 0.691 0.378 0.308 1
F1 F 0.037 0.702 0.763 1
F2 F 0.037 0.798 0.263 1
F3 F 0.114 0.543 0.115 1
F4 F 0.114 0.957 0.615 1
F5 F 0.157 0.032 0.132 1
F6 F 0.157 0.468 0.632 1
F7 F 0.220 0.701 0.523 1
F8 F 0.220 0.799 0.023 1
F9 F 0.407 0.079 0.892 1
F10 F 0.407 0.421 0.392 1
F11 F 0.407 0.544 0.854 1
F12 F 0.407 0.956 0.354 1
F13 F 0.491 0.727 0.252 1
F14 F 0.491 0.773 0.752 1
F15 F 0.509 0.227 0.248 1
F16 F 0.509 0.273 0.748 1
F17 F 0.593 0.044 0.646 1
F18 F 0.593 0.456 0.146 1
F19 F 0.593 0.579 0.608 1
F20 F 0.593 0.921 0.108 1
F21 F 0.780 0.201 0.977 1
F22 F 0.780 0.299 0.477 1
F23 F 0.843 0.532 0.368 1
F24 F 0.843 0.968 0.868 1
F25 F 0.886 0.043 0.385 1
F26 F 0.886 0.457 0.885 1
F27 F 0.963 0.202 0.737 1
F28 F 0.963 0.298 0.237 1
# Total energy, eV/atom: -5.00
# Formation energy, eV/atom: -3.265
# Crystal system: monoclinic
# SG: P2_1/c (14)
# ρ, Mg/m³: 4.1



(5)
# K2MnH8S2O12 | the Materials Project | PBE+U | relaxed
data_K2MnH8S2O12
_chemical_formula_sum 'K4 Mn2 H16 S4 O24'
_symmetry_space_group_name_H-M 'P 1'
_symmetry_Int_Tables_number 1
_cell_length_a 7.790
_cell_length_b 7.793
_cell_length_c 10.057
_cell_angle_alpha 86.10
_cell_angle_beta 86.03
_cell_angle_gamma 77.72
loop_
_symmetry_equiv_pos_as_xyz
'x,y,z'
loop_
_atom_site_label
_atom_site_type_symbol
_atom_site_fract_x
_atom_site_fract_y
_atom_site_fract_z
_atom_site_occupancy
K1 K 0.000 0.000 0.000 1
K2 K 0.130 0.194 0.493 1
K3 K 0.471 0.528 0.999 1
K4 K 0.657 0.665 0.500 1
Mn1 Mn 0.062 0.596 0.748 1
Mn2 Mn 0.564 0.096 0.248 1
H1 H 0.012 0.819 0.516 1
H2 H 0.116 0.373 0.980 1
H3 H 0.220 0.328 0.210 1
H4 H 0.233 0.272 0.863 1
H5 H 0.286 0.544 0.516 1
H6 H 0.333 0.440 0.287 1
H7 H 0.385 0.430 0.635 1
H8 H 0.478 0.042 0.973 1
H9 H 0.500 0.041 0.531 1
H10 H 0.627 0.152 0.966 1
H11 H 0.637 0.164 0.522 1
H12 H 0.742 0.760 0.860 1
H13 H 0.795 0.754 0.210 1
H14 H 0.841 0.650 0.981 1
H15 H 0.898 0.917 0.634 1
H16 H 0.907 0.865 0.287 1
S1 S 0.269 0.801 0.293 1
S2 S 0.360 0.881 0.771 1
S3 S 0.775 0.301 0.719 1
S4 S 0.858 0.392 0.203 1
O1 O 0.033 0.315 0.134 1
O2 O 0.095 0.878 0.362 1
O3 O 0.187 0.392 0.896 1
O4 O 0.228 0.770 0.813 1
O5 O 0.247 0.777 0.152 1
O6 O 0.266 0.474 0.600 1
O7 O 0.314 0.043 0.850 1
O8 O 0.336 0.325 0.248 1
O9 O 0.346 0.627 0.363 1
O10 O 0.355 0.928 0.625 1
O11 O 0.390 0.923 0.308 1
O12 O 0.538 0.780 0.803 1
O13 O 0.559 0.083 0.028 1
O14 O 0.572 0.104 0.467 1
O15 O 0.600 0.379 0.666 1
O16 O 0.738 0.271 0.188 1
O17 O 0.759 0.272 0.867 1
O18 O 0.782 0.566 0.133 1
O19 O 0.792 0.869 0.249 1
O20 O 0.849 0.133 0.655 1
O21 O 0.861 0.721 0.897 1
O22 O 0.881 0.416 0.344 1
O23 O 0.896 0.425 0.682 1
O24 O 0.940 0.798 0.599 1
# Distance to the lowest polymorph of the same formula, meV/atom: 3
# Total energy, eV/atom: -5.60
# Formation energy, eV/atom: -1.747
# Crystal system: triclinic
# SG: P1 (1)
# ρ, Mg/m³: 2.2



(6)
# Zn5Co19O32 | the Materials Project | PBE+U | relaxed
data_Zn5Co19O32
_chemical_formula_sum 'Zn5 Co19 O32'
_symmetry_space_group_name_H-M 'P 1'
_symmetry_Int_Tables_number 1
_cell_length_a 19.151
_cell_length_b 19.151
_cell_length_c 19.151
_cell_angle_alpha 17.34
_cell_angle_beta 17.34
_cell_angle_gamma 17.34
loop_
_symmetry_equiv_pos_as_xyz
'x,y,z'
loop_
_atom_site_label
_atom_site_type_symbol
_atom_site_fract_x
_atom_site_fract_y
_atom_site_fract_z
_atom_site_occupancy
Zn1 Zn 0.000 0.000 0.000 1
Zn2 Zn 0.062 0.062 0.062 1
Zn3 Zn 0.500 0.500 0.500 1
Zn4 Zn 0.562 0.562 0.562 1
Zn5 Zn 0.813 0.813 0.813 1
Co1 Co 0.031 0.031 0.531 1
Co2 Co 0.031 0.531 0.031 1
Co3 Co 0.031 0.531 0.531 1
Co4 Co 0.156 0.156 0.156 1
Co5 Co 0.250 0.250 0.250 1
Co6 Co 0.281 0.281 0.781 1
Co7 Co 0.281 0.781 0.281 1
Co8 Co 0.281 0.781 0.781 1
Co9 Co 0.313 0.313 0.313 1
Co10 Co 0.406 0.406 0.406 1
Co11 Co 0.531 0.031 0.031 1
Co12 Co 0.531 0.031 0.531 1
Co13 Co 0.531 0.531 0.031 1
Co14 Co 0.656 0.656 0.656 1
Co15 Co 0.750 0.750 0.750 1
Co16 Co 0.781 0.281 0.281 1
Co17 Co 0.781 0.281 0.781 1
Co18 Co 0.781 0.781 0.281 1
Co19 Co 0.906 0.906 0.906 1
O1 O 0.077 0.077 0.632 1
O2 O 0.077 0.632 0.077 1
O3 O 0.097 0.097 0.097 1
O4 O 0.132 0.576 0.576 1
O5 O 0.179 0.737 0.737 1
O6 O 0.215 0.215 0.215 1
O7 O 0.237 0.237 0.679 1
O8 O 0.237 0.679 0.237 1
O9 O 0.326 0.326 0.883 1
O10 O 0.326 0.883 0.326 1
O11 O 0.347 0.347 0.347 1
O12 O 0.383 0.826 0.826 1
O13 O 0.429 0.987 0.987 1
O14 O 0.465 0.465 0.465 1
O15 O 0.486 0.486 0.931 1
O16 O 0.486 0.931 0.486 1
O17 O 0.576 0.132 0.576 1
O18 O 0.576 0.576 0.132 1
O19 O 0.597 0.597 0.597 1
O20 O 0.632 0.077 0.077 1
O21 O 0.679 0.237 0.237 1
O22 O 0.715 0.715 0.715 1
O23 O 0.737 0.179 0.737 1
O24 O 0.737 0.737 0.179 1
O25 O 0.826 0.383 0.826 1
O26 O 0.826 0.826 0.383 1
O27 O 0.847 0.847 0.847 1
O28 O 0.883 0.326 0.326 1
O29 O 0.931 0.486 0.486 1
O30 O 0.965 0.965 0.965 1
O31 O 0.987 0.429 0.987 1
O32 O 0.987 0.987 0.429 1
# Total energy, eV/atom: -5.86
# Formation energy, eV/atom: -1.458
# Crystal system: trigonal
# SG: R3m (160)
# ρ, Mg/m³: 6.0



(7)
# MgNiMoP2O9 | the Materials Project | PBE+U | relaxed
data_MgNiMoP2O9
_chemical_formula_sum 'Mg4 Ni4 Mo4 P8 O36'
_symmetry_space_group_name_H-M 'P 1'
_symmetry_Int_Tables_number 1
_cell_length_a 6.466
_cell_length_b 7.618
_cell_length_c 14.157
_cell_angle_alpha 89.96
_cell_angle_beta 89.94
_cell_angle_gamma 89.97
loop_
_symmetry_equiv_pos_as_xyz
'x,y,z'
loop_
_atom_site_label
_atom_site_type_symbol
_atom_site_fract_x
_atom_site_fract_y
_atom_site_fract_z
_atom_site_occupancy
Mg1 Mg 0.250 0.053 0.216 1
Mg2 Mg 0.250 0.447 0.716 1
Mg3 Mg 0.750 0.553 0.284 1
Mg4 Mg 0.750 0.947 0.784 1
Ni1 Ni 0.000 0.000 0.000 1
Ni2 Ni 0.000 0.500 0.500 1
Ni3 Ni 0.500 0.000 0.000 1
Ni4 Ni 0.500 0.500 0.500 1
Mo1 Mo 0.250 0.641 0.117 1
Mo2 Mo 0.250 0.858 0.617 1
Mo3 Mo 0.750 0.142 0.383 1
Mo4 Mo 0.750 0.359 0.883 1
P1 P 0.250 0.152 0.425 1
P2 P 0.250 0.347 0.925 1
P3 P 0.250 0.622 0.312 1
P4 P 0.250 0.878 0.811 1
P5 P 0.750 0.122 0.189 1
P6 P 0.750 0.378 0.688 1
P7 P 0.750 0.653 0.075 1
P8 P 0.750 0.848 0.575 1
O1 O 0.043 0.615 0.366 1
O2 O 0.043 0.885 0.866 1
O3 O 0.068 0.123 0.356 1
O4 O 0.068 0.377 0.856 1
O5 O 0.250 0.013 0.504 1
O6 O 0.250 0.026 0.735 1
O7 O 0.250 0.165 0.970 1
O8 O 0.250 0.335 0.470 1
O9 O 0.250 0.474 0.235 1
O10 O 0.250 0.486 0.004 1
O11 O 0.250 0.707 0.748 1
O12 O 0.250 0.793 0.247 1
O13 O 0.250 0.873 0.063 1
O14 O 0.251 0.628 0.563 1
O15 O 0.432 0.123 0.356 1
O16 O 0.432 0.376 0.856 1
O17 O 0.457 0.616 0.366 1
O18 O 0.457 0.885 0.866 1
O19 O 0.543 0.115 0.134 1
O20 O 0.543 0.384 0.634 1
O21 O 0.568 0.624 0.144 1
O22 O 0.568 0.877 0.644 1
O23 O 0.749 0.372 0.437 1
O24 O 0.750 0.127 0.937 1
O25 O 0.750 0.207 0.753 1
O26 O 0.750 0.293 0.252 1
O27 O 0.750 0.514 0.996 1
O28 O 0.750 0.526 0.765 1
O29 O 0.750 0.665 0.530 1
O30 O 0.750 0.835 0.030 1
O31 O 0.750 0.974 0.265 1
O32 O 0.750 0.987 0.496 1
O33 O 0.932 0.623 0.144 1
O34 O 0.932 0.877 0.644 1
O35 O 0.957 0.115 0.134 1
O36 O 0.957 0.385 0.634 1
# Total energy, eV/atom: -6.82
# Formation energy, eV/atom: -2.419
# Crystal system: triclinic
# SG: P-1 (2)
# ρ, Mg/m³: 3.7



(8)
# Mn6O5F7 | the Materials Project | PBE+U | relaxed
data_Mn6O5F7
_chemical_formula_sum 'Mn6 O5 F7'
_symmetry_space_group_name_H-M 'P 1'
_symmetry_Int_Tables_number 1
_cell_length_a 4.728
_cell_length_b 5.723
_cell_length_c 7.924
_cell_angle_alpha 85.91
_cell_angle_beta 89.39
_cell_angle_gamma 88.11
loop_
_symmetry_equiv_pos_as_xyz
'x,y,z'
loop_
_atom_site_label
_atom_site_type_symbol
_atom_site_fract_x
_atom_site_fract_y
_atom_site_fract_z
_atom_site_occupancy
Mn1 Mn 0.000 0.000 0.000 1
Mn2 Mn 0.014 0.665 0.331 1
Mn3 Mn 0.039 0.333 0.627 1
Mn4 Mn 0.499 0.152 0.304 1
Mn5 Mn 0.527 0.494 0.987 1
Mn6 Mn 0.566 0.820 0.666 1
O1 O 0.222 0.372 0.410 1
O2 O 0.341 0.206 0.078 1
O3 O 0.718 0.781 0.894 1
O4 O 0.824 0.955 0.231 1
O5 O 0.841 0.619 0.552 1
F1 F 0.222 0.033 0.744 1
F2 F 0.227 0.698 0.111 1
F3 F 0.326 0.525 0.767 1
F4 F 0.339 0.854 0.444 1
F5 F 0.706 0.132 0.537 1
F6 F 0.737 0.459 0.201 1
F7 F 0.833 0.295 0.853 1
# Distance to the lowest polymorph of the same formula, meV/atom: 25
# Total energy, eV/atom: -6.66
# Formation energy, eV/atom: -2.416
# Crystal system: triclinic
# SG: P1 (1)
# ρ, Mg/m³: 4.2



(9)
# Li7Co5O12 | the Materials Project | PBE+U | relaxed
data_Li7Co5O12
_chemical_formula_sum 'Li7 Co5 O12'
_symmetry_space_group_name_H-M 'P 1'
_symmetry_Int_Tables_number 1
_cell_length_a 5.030
_cell_length_b 8.730
_cell_length_c 5.108
_cell_angle_alpha 90.00
_cell_angle_beta 109.72
_cell_angle_gamma 90.00
loop_
_symmetry_equiv_pos_as_xyz
'x,y,z'
loop_
_atom_site_label
_atom_site_type_symbol
_atom_site_fract_x
_atom_site_fract_y
_atom_site_fract_z
_atom_site_occupancy
Li1 Li 0.000 0.000 0.000 1
Li2 Li 0.000 0.157 0.500 1
Li3 Li 0.000 0.500 0.500 1
Li4 Li 0.000 0.843 0.500 1
Li5 Li 0.500 0.000 0.500 1
Li6 Li 0.500 0.332 0.500 1
Li7 Li 0.500 0.668 0.500 1
Co1 Co 0.000 0.334 0.000 1
Co2 Co 0.000 0.666 0.000 1
Co3 Co 0.500 0.162 0.000 1
Co4 Co 0.500 0.500 0.000 1
Co5 Co 0.500 0.838 0.000 1
O1 O 0.223 0.500 0.220 1
O2 O 0.241 0.187 0.221 1
O3 O 0.241 0.813 0.221 1
O4 O 0.250 0.341 0.782 1
O5 O 0.250 0.659 0.782 1
O6 O 0.274 0.000 0.754 1
O7 O 0.726 0.000 0.246 1
O8 O 0.750 0.341 0.218 1
O9 O 0.750 0.659 0.218 1
O10 O 0.759 0.187 0.779 1
O11 O 0.759 0.813 0.779 1
O12 O 0.777 0.500 0.780 1
# Distance to the lowest polymorph of the same formula, meV/atom: 40
# Total energy, eV/atom: -5.55
# Formation energy, eV/atom: -1.722
# Crystal system: monoclinic
# SG: P2/m (10)
# ρ, Mg/m³: 4.2